1.
Density functional theory data (PBE) for a relaxed Ba4Ce2O7 crystal.

Output
- offset from the most stable computed form (eV per atom) = 0.058
- M_tot (μB/f.u.) = 1.73

a = 19.1979 Å, b = 11.3793 Å, c = 7.8669 Å
α = 90.00°, β = 91.26°, γ = 90.00°
Last column: nearest neighbours and their distance in Å.
Space group P2_1/c (No. 14)
One atom of each set of equivalent atoms:
Ba 0.0803 0.2208 0.4839 (multiplicity 4)  3 O 2.56-2.76
Ba 0.0898 0.5548 0.6672 (multiplicity 4)  4 O 2.71-2.87
Ba 0.2459 0.7281 0.9687 (multiplicity 4)  6 O 2.71-3.00
Ba 0.2511 0.0558 0.8013 (multiplicity 4)  3 O 2.54-2.75
Ba 0.4109 0.2478 0.5256 (multiplicity 4)  4 O 2.64-2.72
Ba 0.4142 0.5991 0.6633 (multiplicity 4)  5 O 2.70-3.01
Ce 0.0829 0.5798 0.1775 (multiplicity 4)  4 O 2.18-2.28
Ce 0.2592 0.0776 0.3107 (multiplicity 4)  4 O 2.15-2.34
Ce 0.4187 0.5753 0.1738 (multiplicity 4)  4 O 2.13-2.35
O 0.0000 0.0000 0.5000 (multiplicity 2)  2 Ce 2.28
O 0.0105 0.1536 0.1897 (multiplicity 4)  1 Ce 2.26
O 0.1101 0.0628 0.8553 (multiplicity 4)  1 Ce 2.20
O 0.1501 0.7325 0.2163 (multiplicity 4)  1 Ce 2.18
O 0.1685 0.0009 0.4705 (multiplicity 4)  2 Ce 2.34-2.51
O 0.2624 0.5436 0.6002 (multiplicity 4)  1 Ce 2.16
O 0.3043 0.2443 0.2452 (multiplicity 4)  1 Ce 2.15
O 0.3374 0.6943 0.2353 (multiplicity 4)  1 Ce 2.13
O 0.3521 0.0049 0.4482 (multiplicity 4)  2 Ce 2.22-2.35
O 0.4219 0.0409 0.8881 (multiplicity 4)  1 Ce 2.14
O 0.4976 0.7085 0.2134 (multiplicity 4)  1 Ce 2.16

2.
Density functional theory data (PBE) for a relaxed BaCeO3 crystal.

a = 6.3147 Å, b = 6.3147 Å, c = 15.2608 Å
α = 90.00°, β = 90.00°, γ = 120.00°
Last column: nearest neighbours and their distance in Å.
Space group R-3c (No. 167, hexagonal axes)
One atom of each set of equivalent atoms:
Ba 0.0000 0.0000 0.2500 (multiplicity 6)  3 O 2.73
Ce 0.0000 0.0000 0.0000 (multiplicity 6)  6 O 2.26
O 0.0000 0.4318 0.2500 (multiplicity 18)  2 Ce 2.26

3.
Density functional theory data (PBE) for a relaxed Ba2CePrO6 crystal.

Output
- offset from the most stable computed form (eV per atom) = 0.000
- M_tot (μB/f.u.) = 1.00

a = 9.0159 Å, b = 9.0159 Å, c = 9.0159 Å
α = 90.00°, β = 90.00°, γ = 90.00°
Last column: nearest neighbours and their distance in Å.
Space group Pn-3 (No. 201, origin choice 2)
One atom of each set of equivalent atoms:
Ba 0.2500 0.2500 0.2500 (multiplicity 2)  12 O 3.18
Ba 0.2500 0.2500 0.7500 (multiplicity 6)  4 O 2.77
Ce 0.0000 0.0000 0.0000 (multiplicity 4)  6 O 2.23
Pr 0.0000 0.0000 0.5000 (multiplicity 4)  6 O 2.36
O 0.0306 0.5357 0.7426 (multiplicity 24)  1 Ce 2.23, 1 Pr 2.36

4.
Density functional theory data (PBE) for a relaxed Ba2CePrO6 crystal.

Output
- offset from the most stable computed form (eV per atom) = 0.045
- M_tot (μB/f.u.) = 1.00

a = 9.0534 Å, b = 9.0534 Å, c = 9.0534 Å
α = 90.00°, β = 90.00°, γ = 90.00°
Last column: nearest neighbours and their distance in Å.
Space group Fm-3m (No. 225)
One atom of each set of equivalent atoms:
Ba 0.2500 0.2500 0.2500 (multiplicity 8)  12 O 3.20
Ce 0.0000 0.0000 0.0000 (multiplicity 4)  6 O 2.20
Pr 0.0000 0.0000 0.5000 (multiplicity 4)  6 O 2.32
O 0.0000 0.0000 0.2433 (multiplicity 24)  1 Ce 2.20, 1 Pr 2.32

5.
Density functional theory data (PBE) for a relaxed Ba2CePtO6 crystal.

Output
- M_tot (μB/f.u.) = 0.00

a = 8.5135 Å, b = 8.5135 Å, c = 8.5135 Å
α = 90.00°, β = 90.00°, γ = 90.00°
Last column: nearest neighbours and their distance in Å.
Space group Fm-3m (No. 225)
One atom of each set of equivalent atoms:
Ba 0.2500 0.2500 0.2500 (multiplicity 8)  12 O 3.01
Ce 0.0000 0.0000 0.0000 (multiplicity 4)  6 O 2.22
Pt 0.0000 0.0000 0.5000 (multiplicity 4)  6 O 2.04
O 0.0000 0.0000 0.2605 (multiplicity 24)  1 Pt 2.04, 1 Ce 2.22

6.
Density functional theory data (PBE) for a relaxed Ba3CeRu2O9 crystal.

Output
- M_tot (μB/f.u.) = 2.00

a = 5.9672 Å, b = 5.9672 Å, c = 14.8195 Å
α = 90.00°, β = 90.00°, γ = 120.00°
Last column: nearest neighbours and their distance in Å.
Space group P6_3/mmc (No. 194)
One atom of each set of equivalent atoms:
Ba 0.0000 0.0000 0.2500 (multiplicity 2)  12 O 2.99-3.01
Ba 0.3333 0.6667 0.0977 (multiplicity 4)  12 O 2.91-3.20
Ce 0.0000 0.0000 0.0000 (multiplicity 2)  6 O 2.23
Ru 0.3333 0.6667 0.6655 (multiplicity 4)  6 O 2.00-2.04
O 0.0212 0.5106 0.7500 (multiplicity 6)  2 Ru 2.04
O 0.1753 0.3506 0.5877 (multiplicity 12)  1 Ru 2.00, 1 Ce 2.23

7.
Density functional theory data (PBE) for a relaxed Ba4CeRu3O12 crystal.

Output
- M_tot (μB/f.u.) = 4.00

a = 10.3161 Å, b = 5.9574 Å, c = 29.8595 Å
α = 90.00°, β = 91.06°, γ = 90.00°
Last column: nearest neighbours and their distance in Å.
Space group C2/m (No. 12)
One atom of each set of equivalent atoms:
Ba 0.0024 0.0000 0.2164 (multiplicity 4)  10 O 2.86-3.07
Ba 0.0021 0.0000 0.3681 (multiplicity 4)  11 O 2.87-3.13
Ba 0.1635 0.5000 0.1164 (multiplicity 4)  10 O 2.83-3.13
Ba 0.1645 0.5000 0.7039 (multiplicity 4)  11 O 2.91-3.07
Ba 0.1667 0.5000 0.9638 (multiplicity 4)  11 O 2.88-3.07
Ba 0.1681 0.5000 0.5499 (multiplicity 4)  10 O 2.85-3.15
Ce 0.0000 0.0000 0.5000 (multiplicity 2)  6 O 2.22-2.23
Ce 0.1680 0.5000 0.8333 (multiplicity 4)  6 O 2.22-2.23
Ru 0.0000 0.0000 0.0000 (multiplicity 2)  6 O 2.04
Ru 0.0063 0.0000 0.9142 (multiplicity 4)  6 O 1.98-2.06
Ru 0.1632 0.5000 0.4190 (multiplicity 4)  6 O 1.98-2.06
Ru 0.1676 0.5000 0.3336 (multiplicity 4)  6 O 2.03-2.04
Ru 0.1709 0.5000 0.2478 (multiplicity 4)  6 O 1.98-2.06
O 0.0103 0.5000 0.3736 (multiplicity 4)  2 Ru 2.03-2.06
O 0.0165 0.5000 0.2070 (multiplicity 4)  1 Ru 1.99
O 0.0752 0.2315 0.0438 (multiplicity 8)  2 Ru 2.04-2.06
O 0.0814 0.2619 0.4553 (multiplicity 8)  1 Ru 1.98
O 0.0901 0.2386 0.8786 (multiplicity 8)  1 Ru 1.98
O 0.0911 0.2681 0.2904 (multiplicity 8)  2 Ru 2.04-2.06
O 0.1458 0.0000 0.1273 (multiplicity 4)  1 Ru 1.98
O 0.1578 0.0000 0.9599 (multiplicity 4)  2 Ru 2.04-2.05
O 0.1761 0.0000 0.7071 (multiplicity 4)  2 Ru 2.04-2.06
O 0.1820 0.0000 0.5409 (multiplicity 4)  1 Ru 1.98
O 0.2435 0.2675 0.3766 (multiplicity 8)  2 Ru 2.04-2.06
O 0.2465 0.2378 0.7883 (multiplicity 8)  1 Ru 1.98

8.
Density functional theory data (PBE) for a relaxed BaSrCe4O12 crystal.

Output
- M_tot (μB/f.u.) = 4.00

a = 8.7599 Å, b = 8.9875 Å, c = 8.6568 Å
α = 90.00°, β = 90.00°, γ = 90.00°
Last column: nearest neighbours and their distance in Å.
Space group Amm2 (No. 38)
One atom of each set of equivalent atoms:
Ba 0.0000 0.0000 0.0000 (multiplicity 2)  8 O 2.79-3.12
Sr 0.5000 0.0000 0.5770 (multiplicity 2)  4 O 2.46-2.54
Ce 0.2573 0.2329 0.2920 (multiplicity 8)  6 O 2.20-2.42
O 0.0000 0.2206 0.2855 (multiplicity 4)  2 Ce 2.26
O 0.2313 0.2107 0.0384 (multiplicity 8)  2 Ce 2.20-2.22
O 0.2372 0.0000 0.7664 (multiplicity 4)  2 Ce 2.42
O 0.3135 0.0000 0.3516 (multiplicity 4)  2 Ce 2.21
O 0.5000 0.2077 0.7626 (multiplicity 4)  2 Ce 2.21, 1 Sr 2.46

9.
Density functional theory data (PBE) for a relaxed BaSrCeTiO6 crystal.

Output
- offset from the most stable computed form (eV per atom) = 0.000

a = 5.9364 Å, b = 5.9633 Å, c = 8.3994 Å
α = 90.15°, β = 90.20°, γ = 90.25°
Last column: nearest neighbours and their distance in Å.
Space group P-1 (No. 2)
One atom of each set of equivalent atoms:
Ba 0.0102 0.0036 0.2496 (multiplicity 2)  9 O 2.73-3.05
Sr 0.4846 0.4992 0.7478 (multiplicity 2)  6 O 2.61-2.92
Ce 0.0000 0.5000 0.0000 (multiplicity 1)  6 O 2.24-2.26
Ce 0.5000 0.0000 0.5000 (multiplicity 1)  6 O 2.24-2.26
Ti 0.0000 0.5000 0.5000 (multiplicity 1)  6 O 1.99-2.01
Ti 0.5000 0.0000 0.0000 (multiplicity 1)  6 O 1.99-2.01
O 0.0148 0.4562 0.7350 (multiplicity 2)  1 Ti 1.99
O 0.2180 0.7523 0.5234 (multiplicity 2)  1 Ti 1.99
O 0.2463 0.7839 0.9741 (multiplicity 2)  1 Ti 1.99
O 0.2620 0.2907 0.4716 (multiplicity 2)  1 Ti 2.01, 1 Ce 2.25
O 0.2883 0.2583 0.0320 (multiplicity 2)  1 Ti 2.01
O 0.4991 0.0628 0.7650 (multiplicity 2)  1 Ti 2.01

10.
Density functional theory data (PBE) for a relaxed BaSrCeTiO6 crystal.

Output
- offset from the most stable computed form (eV per atom) = 0.015
- M_tot (μB/f.u.) = 0.00

a = 8.4291 Å, b = 8.4291 Å, c = 8.4291 Å
α = 90.00°, β = 90.00°, γ = 90.00°
Last column: nearest neighbours and their distance in Å.
Space group F-43m (No. 216)
One atom of each set of equivalent atoms:
Ba 0.0000 0.0000 0.0000 (multiplicity 4)  12 O 2.98
Sr 0.0000 0.0000 0.5000 (multiplicity 4)  12 O 2.98
Ce 0.2500 0.2500 0.7500 (multiplicity 4)  6 O 2.23
Ti 0.2500 0.2500 0.2500 (multiplicity 4)  6 O 1.99
O 0.0145 0.2500 0.2500 (multiplicity 24)  1 Ti 1.99

11.
Density functional theory data (PBE) for a relaxed BaSrCeTiO6 crystal.

Output
- offset from the most stable computed form (eV per atom) = 0.001
- M_tot (μB/f.u.) = 0.00

a = 8.3833 Å, b = 8.3983 Å, c = 8.4275 Å
α = 90.00°, β = 90.00°, γ = 90.00°
Last column: nearest neighbours and their distance in Å.
Space group P222 (No. 16)
One atom of each set of equivalent atoms:
Ba 0.0000 0.0000 0.0000 (multiplicity 1)  12 O 2.98-3.02
Ba 0.0000 0.0000 0.5000 (multiplicity 1)  8 O 2.78-3.02
Ba 0.5000 0.0000 0.0000 (multiplicity 1)  8 O 2.78-3.01
Ba 0.5000 0.5000 0.5000 (multiplicity 1)  12 O 2.95-2.98
Sr 0.0000 0.5000 0.0000 (multiplicity 1)  4 O 2.68
Sr 0.0000 0.5000 0.5000 (multiplicity 1)  8 O 2.65-2.95
Sr 0.5000 0.0000 0.5000 (multiplicity 1)  8 O 2.67-2.98
Sr 0.5000 0.5000 0.0000 (multiplicity 1)  8 O 2.65-2.96
Ce 0.2506 0.2532 0.7498 (multiplicity 4)  6 O 2.21-2.27
Ti 0.2500 0.2541 0.2509 (multiplicity 4)  6 O 1.97-2.01
O 0.0148 0.2360 0.2694 (multiplicity 4)  1 Ti 1.98
O 0.2239 0.4860 0.2784 (multiplicity 4)  1 Ti 1.97
O 0.2273 0.2764 0.0148 (multiplicity 4)  1 Ti 2.01
O 0.2668 0.0164 0.2336 (multiplicity 4)  1 Ti 2.01
O 0.2787 0.2280 0.4850 (multiplicity 4)  1 Ti 2.00
O 0.4843 0.2788 0.2234 (multiplicity 4)  1 Ti 1.99

12.
Density functional theory data (PBE) for a relaxed BaSrCeZrO6 crystal.

Output
- offset from the most stable computed form (eV per atom) = 0.051
- M_tot (μB/f.u.) = 0.00

a = 8.6831 Å, b = 8.6831 Å, c = 8.6831 Å
α = 90.00°, β = 90.00°, γ = 90.00°
Last column: nearest neighbours and their distance in Å.
Space group F-43m (No. 216)
One atom of each set of equivalent atoms:
Ba 0.0000 0.0000 0.0000 (multiplicity 4)  12 O 3.07
Sr 0.0000 0.0000 0.5000 (multiplicity 4)  12 O 3.07
Ce 0.2500 0.2500 0.2500 (multiplicity 4)  6 O 2.23
Zr 0.2500 0.2500 0.7500 (multiplicity 4)  6 O 2.11
O 0.0068 0.2500 0.7500 (multiplicity 24)  1 Zr 2.11, 1 Ce 2.23

What energy values result from the calculations? In sequence: -0.2540, -0.2835, -0.2677, -0.2661, -0.2551, -0.2661, -0.2638, -0.2722, -0.2874, -0.2868, -0.2874, -0.2910 Ha/atom.